1.
# Li2Fe2Si5O13 PBE with a Hubbard U optimized geometry
# ΔH_f (0 K): -2824 meV/atom
# Size of the total moment: 16.0 μB/cell
# Crystal system: triclinic
data_Li2Fe2Si5O13
_cell_length_a 7.5455
_cell_length_b 7.6710
_cell_length_c 9.8728
_cell_angle_alpha 83.88
_cell_angle_beta 68.08
_cell_angle_gamma 74.23
_space_group_name_H-M_alt 'P -1'
_space_group_IT_number 2
_space_group_name_Hall '-P 1'
loop_
_atom_site_label
_atom_site_fract_x
_atom_site_fract_y
_atom_site_fract_z
Li1 0.1593 0.4080 0.2445
Li2 0.1847 0.0798 0.3675
Fe1 0.0288 0.1562 0.1008
Fe2 0.4409 0.8403 0.9009
Si1 0.1496 0.2230 0.7658
Si2 0.2142 0.6927 0.5435
Si3 0.2648 0.7658 0.2281
Si4 0.3085 0.4576 0.9079
Si5 0.3707 0.2951 0.4546
O1 0.0228 0.7715 0.6842
O2 0.0740 0.6927 0.2406
O3 0.1589 0.0549 0.8805
O4 0.2004 0.3997 0.8068
O5 0.2113 0.4956 0.4946
O6 0.2128 0.8299 0.3991
O7 0.2375 0.6775 0.9226
O8 0.2777 0.3243 0.0501
O9 0.2956 0.1616 0.5963
O10 0.3018 0.9364 0.1181
O11 0.3693 0.2164 0.3100
O12 0.4141 0.6811 0.5700
O13 0.4501 0.5887 0.1900


2.
# MgMn2O4 PBE with a Hubbard U optimized geometry
# ΔH_f (0 K): -2297 meV/atom
# Size of the total moment: 96.0 μB/cell
# Crystal system: monoclinic
# Relative energy among the computed polymorphs: 0.044 eV/atom
data_MgMn2O4
_cell_length_a 10.4552
_cell_length_b 6.0632
_cell_length_c 14.8204
_cell_angle_alpha 90.00
_cell_angle_beta 90.02
_cell_angle_gamma 90.00
_space_group_name_H-M_alt 'C 1 m 1'
_space_group_IT_number 8
_space_group_name_Hall 'C -2y'
loop_
_atom_site_label
_atom_site_fract_x
_atom_site_fract_y
_atom_site_fract_z
Mg1 0.0000 0.0000 0.0000
Mg2 0.0008 0.5000 0.4993
Mg3 0.0095 0.5000 0.8751
Mg4 0.1666 0.5000 0.3330
Mg5 0.3324 0.5000 0.1666
Mg6 0.3338 0.0000 0.6666
Mn1 0.0814 0.2515 0.6662
Mn2 0.1594 0.0000 0.4548
Mn3 0.1668 0.0000 0.8342
Mn4 0.1737 0.0000 0.2123
Mn5 0.2516 0.2497 0.0001
Mn6 0.3270 0.5000 0.7910
Mn7 0.3411 0.5000 0.5420
Mn8 0.4167 0.2497 0.3329
Mn9 0.4927 0.0000 0.1234
O1 0.0072 0.5000 0.7390
O2 0.0127 0.0000 0.7475
O3 0.0674 0.2690 0.4088
O4 0.1001 0.2255 0.9182
O5 0.1581 0.0000 0.5965
O6 0.1580 0.5000 0.5917
O7 0.1741 0.0000 0.0707
O8 0.1757 0.5000 0.0737
O9 0.2323 0.2229 0.7484
O10 0.2659 0.2695 0.2572
O11 0.3240 0.0000 0.9192
O12 0.3259 0.5000 0.9288
O13 0.3416 0.5000 0.4040
O14 0.3460 0.0000 0.4072
O15 0.4017 0.2679 0.0743
O16 0.4311 0.2317 0.5921
O17 0.4871 0.5000 0.2586
O18 0.4919 0.0000 0.2616


3.
# Li7Mn5O12 PBE with a Hubbard U optimized geometry
# ΔH_f (0 K): -2090 meV/atom
# Size of the total moment: 18.0 μB/cell
# Crystal system: triclinic
# Relative energy among the computed polymorphs: 0.067 eV/atom
data_Li7Mn5O12
_cell_length_a 3.0069
_cell_length_b 5.1001
_cell_length_c 14.7323
_cell_angle_alpha 82.10
_cell_angle_beta 86.65
_cell_angle_gamma 86.46
_space_group_name_H-M_alt 'P -1'
_space_group_IT_number 2
_space_group_name_Hall '-P 1'
loop_
_atom_site_label
_atom_site_fract_x
_atom_site_fract_y
_atom_site_fract_z
Li1 0.0000 0.0000 0.0000
Li2 0.0722 0.4075 0.8422
Li3 0.2507 0.2513 0.4998
Li4 0.4131 0.0747 0.1551
Mn1 0.1626 0.8323 0.6672
Mn2 0.3374 0.6679 0.3324
Mn3 0.5000 0.5000 0.0000
O1 0.0067 0.6808 0.9283
O2 0.0984 0.1182 0.7438
O3 0.2351 0.5478 0.5886
O4 0.2701 0.9530 0.4109
O5 0.3946 0.3767 0.2582
O6 0.4520 0.7693 0.0784


4.
# Ba2Sr6Ti7MnO22 PBE with a Hubbard U optimized geometry
# ΔH_f (0 K): -3353 meV/atom
# Size of the total moment: 10.0 μB/cell
# Crystal system: orthorhombic
data_Ba2Sr6Ti7MnO22
_cell_length_a 11.3033
_cell_length_b 11.3403
_cell_length_c 7.8632
_cell_angle_alpha 90.00
_cell_angle_beta 90.00
_cell_angle_gamma 90.00
_space_group_name_H-M_alt 'C m m 2'
_space_group_IT_number 35
_space_group_name_Hall 'C 2 -2'
loop_
_atom_site_label
_atom_site_fract_x
_atom_site_fract_y
_atom_site_fract_z
Ba1 0.2488 0.0000 0.0000
Sr1 0.0000 0.2424 0.0015
Sr2 0.0000 0.2437 0.4931
Sr3 0.2432 0.0000 0.4931
Ti1 0.0000 0.0000 0.2492
Ti2 0.0000 0.0000 0.7450
Ti3 0.0000 0.5000 0.7383
Ti4 0.2500 0.2500 0.2501
Ti5 0.2500 0.2500 0.7441
Mn1 0.0000 0.5000 0.2572
O1 0.0000 0.0000 0.4979
O2 0.0000 0.0000 0.9967
O3 0.1211 0.3772 0.7402
O4 0.1229 0.1246 0.2515
O5 0.1238 0.1257 0.7431
O6 0.1281 0.3695 0.2534
O7 0.2500 0.2500 0.5013
O8 0.2500 0.2500 0.9929


5.
# Li3NiPCO7 PBE with a Hubbard U optimized geometry
# ΔH_f (0 K): -2258 meV/atom
# Size of the total moment: 0.0 μB/cell
# Crystal system: monoclinic
# Relative energy among the computed polymorphs: 0.036 eV/atom
data_Li3NiPCO7
_cell_length_a 8.5545
_cell_length_b 6.3452
_cell_length_c 9.7718
_cell_angle_alpha 90.00
_cell_angle_beta 94.72
_cell_angle_gamma 90.00
_space_group_name_H-M_alt 'P 1 21 1'
_space_group_IT_number 4
_space_group_name_Hall 'P 2yb'
loop_
_atom_site_label
_atom_site_fract_x
_atom_site_fract_y
_atom_site_fract_z
Li1 0.1096 0.9997 0.1127
Li2 0.1096 0.0000 0.6126
Li3 0.2813 0.2225 0.3775
Li4 0.2812 0.2227 0.8777
Li5 0.3584 0.4812 0.1104
Li6 0.3588 0.4810 0.6104
Ni1 0.2646 0.7361 0.3723
Ni2 0.2653 0.7367 0.8719
P1 0.4093 0.9856 0.1379
P2 0.4095 0.9859 0.6379
C1 0.0427 0.4984 0.1455
C2 0.0429 0.4986 0.6456
O1 0.0664 0.5028 0.0182
O2 0.0665 0.5037 0.5182
O3 0.1016 0.9751 0.3157
O4 0.1017 0.9755 0.8155
O5 0.1575 0.5123 0.2406
O6 0.1575 0.5124 0.7406
O7 0.3110 0.1793 0.0890
O8 0.3111 0.1793 0.5887
O9 0.3170 0.7935 0.0737
O10 0.3171 0.7935 0.5741
O11 0.4138 0.9639 0.2981
O12 0.4142 0.9646 0.7983
O13 0.4195 0.4889 0.4030
O14 0.4196 0.4890 0.9029


6.
# Li5Mn2P3O12 PBE with a Hubbard U optimized geometry
# ΔH_f (0 K): -2593 meV/atom
# Size of the total moment: 20.0 μB/cell
# Crystal system: triclinic
# Relative energy among the computed polymorphs: 0.045 eV/atom
data_Li5Mn2P3O12
_cell_length_a 8.6206
_cell_length_b 8.7853
_cell_length_c 9.1007
_cell_angle_alpha 66.53
_cell_angle_beta 63.76
_cell_angle_gamma 60.67
_space_group_name_H-M_alt 'P 1'
_space_group_IT_number 1
_space_group_name_Hall 'P 1'
loop_
_atom_site_label
_atom_site_fract_x
_atom_site_fract_y
_atom_site_fract_z
Li1 0.0000 0.0000 0.0000
Li2 0.0155 0.4234 0.5490
Li3 0.0605 0.5157 0.2395
Li4 0.2803 0.9375 0.2735
Li5 0.3226 0.8131 0.9951
Li6 0.5428 0.2355 0.0262
Li7 0.5822 0.3297 0.7170
Li8 0.6027 0.7522 0.2667
Li9 0.6481 0.0904 0.5026
Li10 0.9544 0.6602 0.7654
Mn1 0.1703 0.2730 0.0213
Mn2 0.4317 0.4778 0.2473
Mn3 0.6251 0.7257 0.6094
Mn4 0.9770 0.0259 0.6586
P1 0.0333 0.8041 0.3769
P2 0.2529 0.6345 0.8776
P3 0.3490 0.1174 0.3900
P4 0.5693 0.9471 0.8906
P5 0.7744 0.4068 0.3783
P6 0.8276 0.3450 0.8896
O1 0.0161 0.2323 0.9289
O2 0.0969 0.8477 0.4861
O3 0.1024 0.9055 0.1905
O4 0.1323 0.5962 0.3861
O5 0.1401 0.5391 0.8807
O6 0.1465 0.8419 0.8424
O7 0.1518 0.1762 0.5195
O8 0.2747 0.5761 0.0566
O9 0.3282 0.1763 0.2105
O10 0.4496 0.5760 0.7474
O11 0.4551 0.9099 0.4251
O12 0.4618 0.2121 0.3882
O13 0.4699 0.1550 0.8813
O14 0.5007 0.8459 0.0771
O15 0.5054 0.9032 0.7820
O16 0.5862 0.5197 0.3387
O17 0.6581 0.3849 0.0463
O18 0.7588 0.2345 0.5169
O19 0.7836 0.8909 0.8261
O20 0.7979 0.2196 0.8284
O21 0.8037 0.5319 0.4402
O22 0.8189 0.8604 0.4408
O23 0.8432 0.5172 0.7506
O24 0.9444 0.3675 0.2217


7.
# VCu6AgMo5O24 PBE with a Hubbard U optimized geometry
# ΔH_f (0 K): -1556 meV/atom
# Size of the total moment: 6.0 μB/cell
# Crystal system: triclinic
# Relative energy among the computed polymorphs: 0.000 eV/atom
data_VCu6AgMo5O24
_cell_length_a 6.8412
_cell_length_b 8.6026
_cell_length_c 9.9301
_cell_angle_alpha 101.93
_cell_angle_beta 103.11
_cell_angle_gamma 101.19
_space_group_name_H-M_alt 'P 1'
_space_group_IT_number 1
_space_group_name_Hall 'P 1'
loop_
_atom_site_label
_atom_site_fract_x
_atom_site_fract_y
_atom_site_fract_z
V1 0.0000 0.0000 0.0000
Cu1 0.1474 0.1784 0.4275
Cu2 0.2626 0.8511 0.2532
Cu3 0.5111 0.9560 0.0526
Cu4 0.6474 0.6469 0.8990
Cu5 0.8470 0.7101 0.6533
Cu6 0.9441 0.1158 0.6781
Ag1 0.8850 0.3974 0.1442
Mo1 0.1270 0.5807 0.9203
Mo2 0.3003 0.6347 0.5416
Mo3 0.4883 0.1883 0.7792
Mo4 0.6640 0.2422 0.4033
Mo5 0.7850 0.8166 0.3168
O1 0.0368 0.9373 0.3122
O2 0.0394 0.1910 0.0986
O3 0.0766 0.3763 0.8265
O4 0.1197 0.5873 0.1004
O5 0.1273 0.6916 0.6438
O6 0.2140 0.4176 0.4568
O7 0.2216 0.9204 0.0733
O8 0.2291 0.1344 0.6570
O9 0.3037 0.7459 0.4084
O10 0.3890 0.6771 0.9256
O11 0.4019 0.1447 0.3967
O12 0.4834 0.0746 0.9093
O13 0.5578 0.6889 0.6649
O14 0.5593 0.8922 0.2406
O15 0.5769 0.4050 0.8673
O16 0.6622 0.1318 0.6774
O17 0.6687 0.2363 0.2241
O18 0.7183 0.4461 0.4999
O19 0.7462 0.6170 0.2134
O20 0.7559 0.8833 0.0124
O21 0.7984 0.8086 0.4965
O22 0.8839 0.1505 0.4797
O23 0.9016 0.6602 0.8390
O24 0.9791 0.0001 0.8232


8.
# Li15Ni14O28 PBE with a Hubbard U optimized geometry
# ΔH_f (0 K): -1469 meV/atom
# Size of the total moment: 34.0 μB/cell
# Crystal system: monoclinic
data_Li15Ni14O28
_cell_length_a 9.9869
_cell_length_b 2.9370
_cell_length_c 34.1646
_cell_angle_alpha 90.00
_cell_angle_beta 94.77
_cell_angle_gamma 90.00
_space_group_name_H-M_alt 'C 1 m 1'
_space_group_IT_number 8
_space_group_name_Hall 'C -2y'
loop_
_atom_site_label
_atom_site_fract_x
_atom_site_fract_y
_atom_site_fract_z
Li1 0.0000 0.0000 0.0000
Li2 0.0015 0.0000 0.5025
Li3 0.0684 0.5000 0.0683
Li4 0.0722 0.5000 0.5733
Li5 0.1229 0.0000 0.1307
Li6 0.1434 0.0000 0.6446
Li7 0.1993 0.0000 0.2493
Li8 0.2146 0.5000 0.7155
Li9 0.2370 0.0000 0.1872
Li10 0.2646 0.5000 0.3092
Li11 0.2860 0.0000 0.7868
Li12 0.3576 0.5000 0.8585
Li13 0.3755 0.5000 0.3684
Li14 0.4290 0.0000 0.9297
Li15 0.4318 0.0000 0.4334
Ni1 0.0005 0.0000 0.7513
Ni2 0.0566 0.5000 0.3262
Ni3 0.0716 0.5000 0.8228
Ni4 0.1429 0.0000 0.8941
Ni5 0.1457 0.0000 0.3963
Ni6 0.2144 0.5000 0.9650
Ni7 0.2162 0.5000 0.4670
Ni8 0.2861 0.0000 0.0350
Ni9 0.2867 0.0000 0.5377
Ni10 0.3577 0.5000 0.6088
Ni11 0.3604 0.5000 0.1055
Ni12 0.4290 0.0000 0.6800
Ni13 0.4513 0.0000 0.1783
Ni14 0.4762 0.5000 0.2529
O1 0.0117 0.5000 0.3787
O2 0.0116 0.5000 0.8743
O3 0.0604 0.0000 0.6999
O4 0.0664 0.0000 0.1993
O5 0.0831 0.0000 0.9452
O6 0.0854 0.0000 0.4476
O7 0.1128 0.5000 0.2744
O8 0.1318 0.5000 0.7712
O9 0.1533 0.5000 0.0157
O10 0.1553 0.5000 0.5180
O11 0.1994 0.0000 0.3437
O12 0.2030 0.0000 0.8429
O13 0.2262 0.0000 0.5889
O14 0.2276 0.0000 0.0857
O15 0.2745 0.5000 0.9139
O16 0.2772 0.5000 0.4159
O17 0.2976 0.5000 0.6602
O18 0.3043 0.5000 0.1568
O19 0.3457 0.0000 0.9844
O20 0.3477 0.0000 0.4866
O21 0.3637 0.0000 0.2310
O22 0.3692 0.0000 0.7315
O23 0.4167 0.5000 0.0538
O24 0.4178 0.5000 0.5574
O25 0.4392 0.5000 0.3113
O26 0.4404 0.5000 0.8027
O27 0.4890 0.0000 0.6285
O28 0.4945 0.0000 0.1217


9.
# Nd3FeO6 PBE with a Hubbard U optimized geometry
# ΔH_f (0 K): -3284 meV/atom
# Crystal system: orthorhombic
data_Nd3FeO6
_cell_length_a 9.2722
_cell_length_b 11.6110
_cell_length_c 5.6746
_cell_angle_alpha 90.00
_cell_angle_beta 90.00
_cell_angle_gamma 90.00
_space_group_name_H-M_alt 'C m c 21'
_space_group_IT_number 36
_space_group_name_Hall 'C 2c -2'
loop_
_atom_site_label
_atom_site_fract_x
_atom_site_fract_y
_atom_site_fract_z
Nd1 0.0000 0.1039 0.0000
Nd2 0.1931 0.3939 0.0449
Fe1 0.0000 0.3096 0.5767
O1 0.0000 0.2833 0.2442
O2 0.0000 0.4607 0.7193
O3 0.1554 0.2400 0.7476
O4 0.1597 0.0134 0.2733


10.
# Li2CrC2O6 PBE with a Hubbard U optimized geometry
# ΔH_f (0 K): -1913 meV/atom
# Size of the total moment: 0.0 μB/cell
# Crystal system: monoclinic
# Relative energy among the computed polymorphs: 0.163 eV/atom
data_Li2CrC2O6
_cell_length_a 5.2531
_cell_length_b 7.8475
_cell_length_c 7.1602
_cell_angle_alpha 90.00
_cell_angle_beta 115.09
_cell_angle_gamma 90.00
_space_group_name_H-M_alt 'P 1 21/c 1'
_space_group_IT_number 14
_space_group_name_Hall '-P 2ybc'
loop_
_atom_site_label
_atom_site_fract_x
_atom_site_fract_y
_atom_site_fract_z
Li1 0.0972 0.0719 0.2300
Cr1 0.5000 0.0000 0.0000
C1 0.3446 0.7288 0.1509
O1 0.2064 0.6263 0.5915
O2 0.2386 0.6052 0.2153
O3 0.4177 0.2157 0.3590


Question: The highest ΔH_f (0 K) belongs to which entry?
Answer: Li15Ni14O28


Question: Look up the ΔH_f (0 K) of the first one.
Answer: -2824 meV/atom


Question: Among the records above, which one has the highest ΔH_f (0 K)?
Answer: Li15Ni14O28